ErCo2B4Rh2 | GGA-PBE | relaxed

Cell and atoms, written as POSCAR:
```
ErCo2B4Rh2
1.0
5.201 0.000 0.000
0.000 5.201 0.000
0.000 0.000 7.199
Er Co B Rh
2 4 8 4
Cartesian
0.000 2.600 0.000 Er
2.600 0.000 3.599 Er
0.000 1.310 2.526 Co
0.000 3.891 2.526 Co
1.310 0.000 6.125 Co
3.891 0.000 6.125 Co
0.000 0.854 4.671 B
0.000 4.347 4.671 B
0.854 0.000 1.072 B
1.646 2.600 2.430 B
2.600 1.646 6.030 B
2.600 3.555 6.030 B
3.555 2.600 2.430 B
4.347 0.000 1.072 B
1.288 2.600 4.566 Rh
2.600 1.288 0.967 Rh
2.600 3.912 0.967 Rh
3.912 2.600 4.566 Rh
```

YTmTe2 | GGA-PBE | relaxed

Cell and atoms, written as POSCAR:
```
YTmTe2
1.0
4.328 0.000 0.000
0.000 4.328 0.000
0.000 0.000 6.149
Y Tm Te
1 1 2
Cartesian
0.000 0.000 0.000 Y
2.164 2.164 3.074 Tm
0.000 0.000 3.074 Te
2.164 2.164 0.000 Te
```

Its energy with MP2020 corrections is -5.752 eV/atom.

no.,total DFT energy (no corrections) (eV per atom),formation energy (kJ per mole of atoms)
1,-7.197,-48.7
2,-5.541,-139.4